The following is a DFT calculation (GGA+U) of an optimized crystal structure of Na4FeO5.

a b c (Å): 5.678 5.726 16.164
angles (deg): 84.82 84.65 79.45
Space group P1 (No. 1)
Unique sites:
Na: 0.000 0.000 0.000 [1 per cell]
Na: 0.022 0.242 0.444 [1 per cell]
Na: 0.134 0.756 0.342 [1 per cell]
Na: 0.189 0.013 0.790 [1 per cell]
Na: 0.254 0.257 0.243 [1 per cell]
Na: 0.281 0.494 0.693 [1 per cell]
Na: 0.386 0.000 0.587 [1 per cell]
Na: 0.444 0.273 0.047 [1 per cell]
Na: 0.495 0.487 0.491 [1 per cell]
Na: 0.537 0.759 0.951 [1 per cell]
Na: 0.649 0.257 0.840 [1 per cell]
Na: 0.689 0.504 0.293 [1 per cell]
Na: 0.748 0.742 0.741 [1 per cell]
Na: 0.794 0.006 0.195 [1 per cell]
Na: 0.910 0.516 0.097 [1 per cell]
Na: 0.935 0.755 0.537 [1 per cell]
Fe: 0.093 0.508 0.895 [1 per cell]
Fe: 0.363 0.780 0.160 [1 per cell]
Fe: 0.563 0.968 0.377 [1 per cell]
Fe: 0.819 0.216 0.633 [1 per cell]
O: 0.031 0.954 0.662 [1 per cell]
O: 0.074 0.365 0.588 [1 per cell]
O: 0.096 0.652 0.205 [1 per cell]
O: 0.162 0.061 0.128 [1 per cell]
O: 0.190 0.603 0.989 [1 per cell]
O: 0.284 0.207 0.914 [1 per cell]
O: 0.321 0.881 0.452 [1 per cell]
O: 0.351 0.616 0.832 [1 per cell]
O: 0.404 0.284 0.377 [1 per cell]
O: 0.466 0.877 0.269 [1 per cell]
O: 0.537 0.471 0.162 [1 per cell]
O: 0.579 0.143 0.706 [1 per cell]
O: 0.605 0.874 0.085 [1 per cell]
O: 0.669 0.535 0.628 [1 per cell]
O: 0.729 0.138 0.542 [1 per cell]
O: 0.771 0.697 0.411 [1 per cell]
O: 0.826 0.112 0.334 [1 per cell]
O: 0.834 0.398 0.957 [1 per cell]
O: 0.902 0.807 0.876 [1 per cell]
O: 0.998 0.409 0.801 [1 per cell]

Calculated values
- Calculated formation energy: -14.72 eV per formula unit
- Total moment: 4.76 μB/f.u.
- Energy above the most stable polymorph in this dataset: 0.018 eV/atom